The following is a PBE-GGA calculation of a relaxed LiCe3 crystal, from the Materials Project.

Values from the calculation:
For the total moment, the calculation gives 2.8 μB per cell. For the volume, the calculation gives 106.4 Å³ per cell. Its uncorrected energy is -0.34267 Ry per atom. The formation energy from the elements comes out at 265 meV/atom.

```
data_LiCe3
_chemical_formula_sum 'Li1 Ce3'
_cell_length_a 4.7379
_cell_length_b 4.7379
_cell_length_c 4.7379
_cell_angle_alpha 90.00
_cell_angle_beta 90.00
_cell_angle_gamma 90.00
_space_group_name_H-M_alt 'P m -3 m'
_space_group_IT_number 221
_space_group_name_Hall '-P 4 2 3'
loop_
_atom_site_label
_atom_site_fract_x
_atom_site_fract_y
_atom_site_fract_z
_atom_site_occupancy
Li1 0.0000 0.0000 0.0000 1
Ce1 0.0000 0.5000 0.5000 1
```

The following is a PBE-GGA calculation of a relaxed YMg14Zr crystal, from the Materials Project.

Values from the calculation:
For the total moment, the calculation gives 0.0 μB per cell. For the volume, the calculation gives 757.6 Å³ per cell. Its uncorrected energy is -0.17038 Ry per atom. The formation energy from the elements comes out at 20 meV/atom. The distance to the lowest polymorph of the same formula is 0.0 meV/atom.

```
data_YMg14Zr
_chemical_formula_sum 'Y2 Mg28 Zr2'
_cell_length_a 10.3567
_cell_length_b 6.4402
_cell_length_c 11.3589
_cell_angle_alpha 90.00
_cell_angle_beta 90.00
_cell_angle_gamma 90.00
_space_group_name_H-M_alt 'A m m 2'
_space_group_IT_number 38
loop_
_space_group_symop_operation_xyz
'x,y,z'
'-x,-y,z'
'-x,y,z'
'x,-y,z'
'x,y+1/2,z+1/2'
'-x,-y+1/2,z+1/2'
'-x,y+1/2,z+1/2'
'x,-y+1/2,z+1/2'
loop_
_atom_site_label
_atom_site_fract_x
_atom_site_fract_y
_atom_site_fract_z
_atom_site_occupancy
Y1 0.0000 0.0000 0.0000 1
Mg1 0.0000 0.2496 0.2515 1
Mg2 0.2482 0.0000 0.6661 1
Mg3 0.2531 0.0000 0.1687 1
Mg4 0.2531 0.2463 0.4169 1
Mg5 0.5000 0.0000 0.0007 1
Mg6 0.5000 0.0000 0.5009 1
Mg7 0.5000 0.2504 0.2504 1
Zr1 0.0000 0.0000 0.4976 1
```

The following is a PBE-GGA calculation of a relaxed CsSbTe6O6F30 crystal, from the Materials Project.

Values from the calculation:
For the total moment, the calculation gives 0.0 μB per cell. For the volume, the calculation gives 3196.7 Å³ per cell. Its uncorrected energy is -0.32342 Ry per atom. The formation energy from the elements comes out at -2286 meV/atom.

```
data_CsSbTe6O6F30
_chemical_formula_sum 'Cs4 Sb4 Te24 O24 F120'
_cell_length_a 14.6356
_cell_length_b 14.6356
_cell_length_c 14.9239
_cell_angle_alpha 90.00
_cell_angle_beta 90.00
_cell_angle_gamma 90.00
_space_group_name_H-M_alt 'P 42/n'
_space_group_IT_number 86
loop_
_space_group_symop_operation_xyz
'x,y,z'
'-x,-y,-z'
'-y,x+1/2,z+1/2'
'y,-x+1/2,-z+1/2'
'-x+1/2,-y+1/2,z'
'x+1/2,y+1/2,-z'
'y+1/2,-x,z+1/2'
'-y+1/2,x,-z+1/2'
loop_
_atom_site_label
_atom_site_fract_x
_atom_site_fract_y
_atom_site_fract_z
_atom_site_occupancy
Cs1 0.2500 0.7500 0.2285 1
Sb1 0.0000 0.0000 0.0000 1
Te1 0.0403 0.2594 0.4458 1
Te2 0.0397 0.7532 0.9708 1
Te3 0.0466 0.4482 0.7363 1
O1 0.0304 0.3872 0.4322 1
O2 0.0528 0.8803 0.9621 1
O3 0.0538 0.0551 0.8902 1
F1 0.0254 0.0554 0.2443 1
F2 0.0320 0.2538 0.1331 1
F3 0.0330 0.6536 0.2637 1
F4 0.0344 0.7477 0.4517 1
F5 0.0445 0.6257 0.9723 1
F6 0.0475 0.4426 0.8614 1
F7 0.0496 0.1318 0.4472 1
F8 0.0516 0.8765 0.2462 1
F9 0.0651 0.2500 0.9577 1
F10 0.0661 0.7552 0.6252 1
F11 0.1123 0.2587 0.3422 1
F12 0.1116 0.7498 0.0764 1
F13 0.1296 0.1480 0.7632 1
F14 0.1448 0.2646 0.5182 1
F15 0.1473 0.7460 0.9012 1
```

The following is a PBE-GGA calculation of a relaxed Li2BiPCO7 crystal, from the Materials Project.

Values from the calculation:
For the total moment, the calculation gives 0.0 μB per cell. For the volume, the calculation gives 323.0 Å³ per cell. Its uncorrected energy is -0.48731 Ry per atom. The formation energy from the elements comes out at -2282 meV/atom. The distance to the lowest polymorph of the same formula is 0.0 meV/atom.

```
data_Li2BiPCO7
_chemical_formula_sum 'Li4 Bi2 P2 C2 O14'
_cell_length_a 5.0840
_cell_length_b 7.1101
_cell_length_c 8.9904
_cell_angle_alpha 90.00
_cell_angle_beta 96.31
_cell_angle_gamma 90.00
_space_group_name_H-M_alt 'P 1 21 1'
_space_group_IT_number 4
loop_
_space_group_symop_operation_xyz
'x,y,z'
'-x,y+1/2,-z'
loop_
_atom_site_label
_atom_site_fract_x
_atom_site_fract_y
_atom_site_fract_z
_atom_site_occupancy
Li1 0.2360 0.0000 0.0911 1
Li2 0.2437 0.3140 0.7292 1
Bi1 0.2120 0.4785 0.3303 1
P1 0.2838 0.9856 0.4032 1
C1 0.3135 0.4909 0.0298 1
O1 0.0663 0.4864 0.0593 1
O2 0.1405 0.8142 0.3210 1
O3 0.2056 0.0185 0.5633 1
O4 0.2163 0.1536 0.2941 1
O5 0.3801 0.4556 0.8996 1
O6 0.4117 0.4476 0.5784 1
O7 0.4958 0.5292 0.1406 1
```

The following is a PBE-GGA calculation of a relaxed Na6Ca3Si2SnS4O24 crystal, from the Materials Project.

Values from the calculation:
For the total moment, the calculation gives 0.0 μB per cell. For the volume, the calculation gives 1764.6 Å³ per cell. Its uncorrected energy is -0.45258 Ry per atom. The formation energy from the elements comes out at -2467 meV/atom.

```
data_Na6Ca3Si2SnS4O24
_chemical_formula_sum 'Na18 Ca9 Si6 Sn3 S12 O72'
_cell_length_a 9.3387
_cell_length_b 9.3433
_cell_length_c 23.3115
_cell_angle_alpha 89.76
_cell_angle_beta 89.26
_cell_angle_gamma 60.19
_space_group_name_H-M_alt 'P 1'
_space_group_IT_number 1
loop_
_space_group_symop_operation_xyz
'x,y,z'
loop_
_atom_site_label
_atom_site_fract_x
_atom_site_fract_y
_atom_site_fract_z
_atom_site_occupancy
Na1 0.0000 0.0000 0.0000 1
Na2 0.0004 0.3270 0.1835 1
Na3 0.0008 0.6565 0.7538 1
Na4 0.0212 0.9176 0.6798 1
Na5 0.3095 0.3158 0.6758 1
Na6 0.3131 0.3351 0.3423 1
Na7 0.3170 0.6146 0.8305 1
Na8 0.3555 0.9516 0.0999 1
Na9 0.3708 0.9291 0.5861 1
Na10 0.6316 0.6336 0.0218 1
Na11 0.6648 0.6728 0.6599 1
Na12 0.6774 0.3140 0.4333 1
Na13 0.6875 0.2831 0.9197 1
Na14 0.7184 0.9734 0.8322 1
Na15 0.7245 0.5712 0.3436 1
Na16 0.9658 0.9874 0.3497 1
Na17 0.9790 0.6268 0.2550 1
Na18 0.9845 0.2874 0.4993 1
Ca1 0.0026 0.6339 0.9069 1
Ca2 0.3204 0.9793 0.9423 1
Ca3 0.3388 0.9554 0.4473 1
Ca4 0.6492 0.3227 0.0851 1
Ca5 0.6662 0.3079 0.2713 1
Ca6 0.6710 0.3016 0.7761 1
Ca7 0.9835 0.6257 0.4163 1
Ca8 0.9853 0.6450 0.6061 1
Ca9 0.9921 0.6417 0.1110 1
Si1 0.0306 0.9692 0.8449 1
Si2 0.0390 0.2597 0.3423 1
Si3 0.3630 0.6061 0.6825 1
Si4 0.6531 0.0105 0.6806 1
Si5 0.6567 0.6219 0.1789 1
Si6 0.6859 0.6197 0.5150 1
Sn1 0.3297 0.9630 0.7415 1
Sn2 0.3353 0.9650 0.2433 1
Sn3 0.6394 0.3134 0.5807 1
S1 0.3018 0.6342 0.0078 1
S2 0.3056 0.3329 0.5110 1
S3 0.3247 0.6763 0.3412 1
S4 0.3304 0.2627 0.8398 1
S5 0.3562 0.2934 0.1803 1
S6 0.6229 0.6800 0.8430 1
S7 0.6240 0.9691 0.3408 1
S8 0.6981 0.9360 0.0084 1
S9 0.9691 0.2934 0.6754 1
S10 0.9764 0.9994 0.1774 1
S11 0.9846 0.9524 0.5115 1
S12 0.9933 0.3347 0.0125 1
O1 0.0001 0.4337 0.6683 1
O2 0.0037 0.4145 0.0655 1
O3 0.0038 0.8526 0.5626 1
O4 0.0088 0.8299 0.1723 1
O5 0.0244 0.7947 0.8379 1
O6 0.0260 0.4430 0.3388 1
O7 0.1154 0.9764 0.9039 1
O8 0.1243 0.9862 0.5087 1
O9 0.1279 0.1505 0.3979 1
O10 0.1361 0.1381 0.6811 1
O11 0.1391 0.0013 0.1808 1
O12 0.1389 0.1651 0.0095 1
O13 0.1540 0.9497 0.7861 1
O14 0.1600 0.1612 0.2831 1
O15 0.1674 0.6728 0.3468 1
O16 0.1807 0.4283 0.8430 1
O17 0.1806 0.6267 0.6732 1
O18 0.1880 0.4393 0.1755 1
O19 0.1977 0.6502 0.0580 1
O20 0.2093 0.4175 0.5629 1
O21 0.2247 0.6223 0.9542 1
O22 0.2314 0.4313 0.4584 1
O23 0.3059 0.7787 0.2883 1
O24 0.3138 0.1706 0.5074 1
O25 0.3170 0.1814 0.7854 1
O26 0.3195 0.7863 0.0073 1
O27 0.3338 0.1423 0.1813 1
O28 0.3490 0.1603 0.8897 1
O29 0.3506 0.7940 0.6814 1
O30 0.3564 0.7500 0.3911 1
O31 0.4315 0.3053 0.2339 1
O32 0.4370 0.5096 0.7414 1
O33 0.4597 0.2725 0.1296 1
O34 0.4646 0.5051 0.3346 1
O35 0.4711 0.4874 0.0110 1
O36 0.4726 0.0070 0.6844 1
O37 0.4783 0.2827 0.8373 1
O38 0.4777 0.3099 0.5139 1
O39 0.4831 0.8101 0.1851 1
O40 0.4928 0.5155 0.6270 1
O41 0.5036 0.7775 0.5111 1
O42 0.5246 0.9886 0.3922 1
O43 0.5262 0.7608 0.8951 1
O44 0.5326 0.9478 0.0070 1
O45 0.5420 0.7865 0.7902 1
O46 0.5482 0.9376 0.2887 1
O47 0.6162 0.1414 0.6248 1
O48 0.6245 0.5544 0.1183 1
O49 0.6310 0.5189 0.8383 1
O50 0.6333 0.1220 0.3334 1
O51 0.6750 0.5124 0.2355 1
O52 0.6874 0.1002 0.0136 1
O53 0.6878 0.0819 0.7376 1
O54 0.6877 0.4343 0.5201 1
O55 0.7807 0.6273 0.5713 1
O56 0.7845 0.8295 0.0578 1
O57 0.7883 0.6651 0.8441 1
O58 0.7931 0.8588 0.9545 1
O59 0.7939 0.8236 0.3444 1
O60 0.7978 0.5776 0.4551 1
O61 0.8044 0.8244 0.6707 1
O62 0.8279 0.1185 0.5161 1
O63 0.8288 0.6283 0.1764 1
O64 0.8403 0.3176 0.0142 1
O65 0.8438 0.1261 0.8438 1
O66 0.8553 0.2761 0.3383 1
O67 0.8664 0.3235 0.7260 1
O68 0.8774 0.0755 0.2298 1
O69 0.8943 0.1023 0.1261 1
O70 0.8945 0.2635 0.6232 1
O71 0.9739 0.8720 0.4580 1
O72 0.9794 0.4353 0.9615 1
```